# TiO

A relaxed structure of TiO (PBE, the Materials Project database).

abc: 4.087 4.087 4.087
angles: 90.00 90.00 90.00
Element x y z (fractional)
Ti: 0.000 0.000 0.500
Ti: 0.000 0.500 0.000
Ti: 0.500 0.000 0.000
O: 0.000 0.500 0.500
O: 0.500 0.000 0.500
O: 0.500 0.500 0.000

The calculation puts the formation enthalpy at 0 K at -2.795 eV per atom. Its total energy is -8.874 eV/atom.